1.
Material: BaGd2CuO5
Method: DFT, PBE
State: optimized geometry

Output
Its total magnetization is 13.00 μB/f.u. The theoretical density comes out at 7.6 Mg/m³. As for the calculated volume: 523.7 Å³/cell. For the MP2020-corrected energy, the calculation gives -344.5 eV for the cell shown.

a = 12.3767 Å, b = 5.7672 Å, c = 7.3373 Å
α = 90.00°, β = 90.00°, γ = 90.00°
Positions (direct):
Ba1 0.4062 0.2500 0.5722
Ba2 0.9062 0.2500 0.9278
Ba3 0.5938 0.7500 0.4278
Ba4 0.0938 0.7500 0.0722
Gd1 0.7876 0.2500 0.3851
Gd2 0.2876 0.2500 0.1149
Gd3 0.2124 0.7500 0.6149
Gd4 0.7124 0.7500 0.8851
Gd5 0.5741 0.2500 0.1038
Gd6 0.0741 0.2500 0.3962
Gd7 0.4259 0.7500 0.8962
Gd8 0.9259 0.7500 0.6038
Cu1 0.1610 0.2500 0.7835
Cu2 0.6610 0.2500 0.7165
Cu3 0.8390 0.7500 0.2165
Cu4 0.3390 0.7500 0.2835
O1 0.9327 0.9921 0.3338
O2 0.4327 0.5079 0.1662
O3 0.0673 0.4921 0.6662
O4 0.5673 0.0079 0.8338
O5 0.0673 0.0079 0.6662
O6 0.5673 0.4921 0.8338
O7 0.9327 0.5079 0.3338
O8 0.4327 0.9921 0.1662
O9 0.7276 0.5059 0.1455
O10 0.2276 0.9941 0.3545
O11 0.2724 0.0059 0.8545
O12 0.7724 0.4941 0.6455
O13 0.2724 0.4941 0.8545
O14 0.7724 0.0059 0.6455
O15 0.7276 0.9941 0.1455
O16 0.2276 0.5059 0.3545
O17 0.5999 0.2500 0.4175
O18 0.0999 0.2500 0.0825
O19 0.4001 0.7500 0.5825
O20 0.9001 0.7500 0.9175

2.
Material: Ba4PrGdCu6O14
Method: DFT, PBE
State: optimized geometry

Output
Its total magnetization is 6.92 μB/f.u. The theoretical density comes out at 6.6 Mg/m³. As for the calculated volume: 363.8 Å³/cell. For the MP2020-corrected energy, the calculation gives -176.4 eV for the cell shown.

a = 3.8743 Å, b = 3.9474 Å, c = 23.7853 Å
α = 90.00°, β = 90.00°, γ = 90.00°
Positions (direct):
Ba1 0.5000 0.5000 0.0901
Ba2 0.5000 0.5000 0.5896
Ba3 0.5000 0.5000 0.4099
Ba4 0.5000 0.5000 0.9104
Pr1 0.5000 0.5000 0.7500
Gd1 0.5000 0.5000 0.2500
Cu1 0.0000 0.0000 0.1750
Cu2 0.0000 0.0000 0.6725
Cu3 0.0000 0.0000 0.3250
Cu4 0.0000 0.0000 0.8275
Cu5 0.0000 0.0000 0.0002
Cu6 0.0000 0.0000 0.4998
O1 0.0000 0.0000 0.0793
O2 0.0000 0.0000 0.5787
O3 0.0000 0.0000 0.4207
O4 0.0000 0.0000 0.9213
O5 0.0000 0.5000 0.0003
O6 0.0000 0.5000 0.4997
O7 0.5000 0.0000 0.1887
O8 0.5000 0.0000 0.6853
O9 0.5000 0.0000 0.3113
O10 0.5000 0.0000 0.8147
O11 0.0000 0.5000 0.1882
O12 0.0000 0.5000 0.6848
O13 0.0000 0.5000 0.3118
O14 0.0000 0.5000 0.8152

3.
Material: Ba10Gd4YCu15O35
Method: DFT, PBE
State: optimized geometry

Output
Its total magnetization is 0.00 μB/f.u. The theoretical density comes out at 6.7 Mg/m³. As for the calculated volume: 895.4 Å³/cell. For the MP2020-corrected energy, the calculation gives -457.7 eV for the cell shown.

a = 3.9282 Å, b = 11.8462 Å, c = 19.2408 Å
α = 90.00°, β = 90.00°, γ = 90.00°
Positions (direct):
Ba1 0.5000 0.1801 0.1000
Ba2 0.5000 0.1801 0.2999
Ba3 0.5000 0.1801 0.5001
Ba4 0.5000 0.1801 0.7000
Ba5 0.5000 0.1805 0.9000
Ba6 0.5000 0.8199 0.1000
Ba7 0.5000 0.8199 0.2999
Ba8 0.5000 0.8199 0.5001
Ba9 0.5000 0.8199 0.7000
Ba10 0.5000 0.8195 0.9000
Gd1 0.5000 0.5000 0.0998
Gd2 0.5000 0.5000 0.2999
Gd3 0.5000 0.5000 0.5001
Gd4 0.5000 0.5000 0.7002
Y1 0.5000 0.5000 0.9000
Cu1 0.0000 0.3514 0.9996
Cu2 0.0000 0.3508 0.1999
Cu3 0.0000 0.3508 0.4000
Cu4 0.0000 0.3508 0.6001
Cu5 0.0000 0.3514 0.8004
Cu6 0.0000 0.6486 0.9996
Cu7 0.0000 0.6492 0.1999
Cu8 0.0000 0.6492 0.4000
Cu9 0.0000 0.6492 0.6001
Cu10 0.0000 0.6486 0.8004
Cu11 0.0000 0.0000 0.0000
Cu12 0.0000 0.0000 0.2000
Cu13 0.0000 0.0000 0.4000
Cu14 0.0000 0.0000 0.6000
Cu15 0.0000 0.0000 0.8000
O1 0.0000 0.1585 0.9999
O2 0.0000 0.1582 0.2000
O3 0.0000 0.1583 0.4000
O4 0.0000 0.1582 0.6000
O5 0.0000 0.1585 0.8001
O6 0.0000 0.8415 0.9999
O7 0.0000 0.8418 0.2000
O8 0.0000 0.8417 0.4000
O9 0.0000 0.8418 0.6000
O10 0.0000 0.8415 0.8001
O11 0.5000 0.3774 0.9988
O12 0.5000 0.3761 0.1999
O13 0.5000 0.3761 0.4000
O14 0.5000 0.3761 0.6001
O15 0.5000 0.3774 0.8012
O16 0.5000 0.6226 0.9988
O17 0.5000 0.6239 0.1999
O18 0.5000 0.6239 0.4000
O19 0.5000 0.6239 0.6001
O20 0.5000 0.6226 0.8012
O21 0.5000 0.0000 0.0000
O22 0.5000 0.0000 0.1999
O23 0.5000 0.0000 0.4000
O24 0.5000 0.0000 0.6001
O25 0.5000 0.0000 0.8000
O26 0.0000 0.3768 0.0997
O27 0.0000 0.3769 0.3000
O28 0.0000 0.3769 0.5000
O29 0.0000 0.3768 0.7003
O30 0.0000 0.3798 0.9000
O31 0.0000 0.6232 0.0997
O32 0.0000 0.6231 0.3000
O33 0.0000 0.6231 0.5000
O34 0.0000 0.6232 0.7003
O35 0.0000 0.6202 0.9000

4.
Material: Ba10Gd3Y2Cu15O35
Method: DFT, PBE
State: optimized geometry

Output
Its total magnetization is 6.95 μB/f.u. The theoretical density comes out at 6.5 Mg/m³. As for the calculated volume: 899.0 Å³/cell. For the MP2020-corrected energy, the calculation gives -450.4 eV for the cell shown.

a = 3.8569 Å, b = 19.6216 Å, c = 11.8786 Å
α = 90.00°, β = 90.00°, γ = 90.00°
Positions (direct):
Ba1 0.5000 0.0999 0.1793
Ba2 0.5000 0.3001 0.1798
Ba3 0.5000 0.4999 0.1798
Ba4 0.5000 0.7001 0.1793
Ba5 0.5000 0.9000 0.1790
Ba6 0.5000 0.0999 0.8207
Ba7 0.5000 0.3001 0.8202
Ba8 0.5000 0.4999 0.8202
Ba9 0.5000 0.7001 0.8207
Ba10 0.5000 0.9000 0.8210
Gd1 0.5000 0.1004 0.5000
Gd2 0.5000 0.6996 0.5000
Gd3 0.5000 0.9000 0.5000
Y1 0.5000 0.3003 0.5000
Y2 0.5000 0.4997 0.5000
Cu1 0.0000 0.0002 0.3507
Cu2 0.0000 0.2006 0.3511
Cu3 0.0000 0.4000 0.3521
Cu4 0.0000 0.5994 0.3511
Cu5 0.0000 0.7998 0.3507
Cu6 0.0000 0.0002 0.6493
Cu7 0.0000 0.2006 0.6489
Cu8 0.0000 0.4000 0.6479
Cu9 0.0000 0.5994 0.6489
Cu10 0.0000 0.7998 0.6493
Cu11 0.0000 0.0001 0.0000
Cu12 0.0000 0.2001 0.0000
Cu13 0.0000 0.4000 0.0000
Cu14 0.0000 0.5999 0.0000
Cu15 0.0000 0.7999 0.0000
O1 0.0000 0.0000 0.1588
O2 0.0000 0.2001 0.1589
O3 0.0000 0.4000 0.1590
O4 0.0000 0.5999 0.1589
O5 0.0000 0.8000 0.1588
O6 0.0000 0.0000 0.8412
O7 0.0000 0.2001 0.8411
O8 0.0000 0.4000 0.8410
O9 0.0000 0.5999 0.8411
O10 0.0000 0.8000 0.8412
O11 0.0000 0.1004 0.3758
O12 0.0000 0.3004 0.3785
O13 0.0000 0.4996 0.3785
O14 0.0000 0.6996 0.3758
O15 0.0000 0.9000 0.3758
O16 0.0000 0.1004 0.6242
O17 0.0000 0.3004 0.6215
O18 0.0000 0.4996 0.6215
O19 0.0000 0.6996 0.6242
O20 0.0000 0.9000 0.6242
O21 0.0000 0.1001 0.0000
O22 0.0000 0.3001 0.0000
O23 0.0000 0.4999 0.0000
O24 0.0000 0.6999 0.0000
O25 0.0000 0.9000 0.0000
O26 0.5000 0.0003 0.3773
O27 0.5000 0.2014 0.3785
O28 0.5000 0.4000 0.3798
O29 0.5000 0.5986 0.3785
O30 0.5000 0.7997 0.3773
O31 0.5000 0.0003 0.6227
O32 0.5000 0.2014 0.6215
O33 0.5000 0.4000 0.6202
O34 0.5000 0.5986 0.6215
O35 0.5000 0.7997 0.6227

5.
Material: Ba10GdY4Cu15O35
Method: DFT, PBE
State: optimized geometry

Output
Its total magnetization is 6.75 μB/f.u. The theoretical density comes out at 6.3 Mg/m³. As for the calculated volume: 896.1 Å³/cell. For the MP2020-corrected energy, the calculation gives -435.2 eV for the cell shown.

a = 3.8552 Å, b = 3.9325 Å, c = 59.1104 Å
α = 90.00°, β = 90.00°, γ = 90.00°
Positions (direct):
Ba1 0.5000 0.5000 0.0361
Ba2 0.5000 0.5000 0.2362
Ba3 0.5000 0.5000 0.4362
Ba4 0.5000 0.5000 0.6362
Ba5 0.5000 0.5000 0.8363
Ba6 0.5000 0.5000 0.1639
Ba7 0.5000 0.5000 0.3637
Ba8 0.5000 0.5000 0.5638
Ba9 0.5000 0.5000 0.7638
Ba10 0.5000 0.5000 0.9638
Gd1 0.5000 0.5000 0.1000
Y1 0.5000 0.5000 0.3000
Y2 0.5000 0.5000 0.5000
Y3 0.5000 0.5000 0.7000
Y4 0.5000 0.5000 0.9000
Cu1 0.0000 0.0000 0.0703
Cu2 0.0000 0.0000 0.2705
Cu3 0.0000 0.0000 0.4705
Cu4 0.0000 0.0000 0.6705
Cu5 0.0000 0.0000 0.8705
Cu6 0.0000 0.0000 0.1297
Cu7 0.0000 0.0000 0.3295
Cu8 0.0000 0.0000 0.5295
Cu9 0.0000 0.0000 0.7295
Cu10 0.0000 0.0000 0.9295
Cu11 0.0000 0.0000 0.0000
Cu12 0.0000 0.0000 0.2000
Cu13 0.0000 0.0000 0.4000
Cu14 0.0000 0.0000 0.6000
Cu15 0.0000 0.0000 0.8000
O1 0.0000 0.5000 0.0751
O2 0.0000 0.5000 0.2758
O3 0.0000 0.5000 0.4757
O4 0.0000 0.5000 0.6757
O5 0.0000 0.5000 0.8758
O6 0.0000 0.5000 0.1249
O7 0.0000 0.5000 0.3242
O8 0.0000 0.5000 0.5243
O9 0.0000 0.5000 0.7243
O10 0.0000 0.5000 0.9242
O11 0.0000 0.0000 0.0318
O12 0.0000 0.0000 0.2318
O13 0.0000 0.0000 0.4318
O14 0.0000 0.0000 0.6318
O15 0.0000 0.0000 0.8318
O16 0.0000 0.0000 0.1682
O17 0.0000 0.0000 0.3682
O18 0.0000 0.0000 0.5682
O19 0.0000 0.0000 0.7682
O20 0.0000 0.0000 0.9682
O21 0.0000 0.5000 0.0000
O22 0.0000 0.5000 0.2000
O23 0.0000 0.5000 0.4000
O24 0.0000 0.5000 0.6000
O25 0.0000 0.5000 0.8000
O26 0.5000 0.0000 0.0753
O27 0.5000 0.0000 0.2759
O28 0.5000 0.0000 0.4759
O29 0.5000 0.0000 0.6759
O30 0.5000 0.0000 0.8759
O31 0.5000 0.0000 0.1247
O32 0.5000 0.0000 0.3241
O33 0.5000 0.0000 0.5241
O34 0.5000 0.0000 0.7241
O35 0.5000 0.0000 0.9241

6.
Material: BaGdCuS3
Method: DFT, PBE
State: optimized geometry

Output
Its total magnetization is 7.01 μB/f.u. The theoretical density comes out at 5.3 Mg/m³. As for the calculated volume: 285.2 Å³/cell. For the MP2020-corrected energy, the calculation gives -88.5 eV for the cell shown.

a = 7.0841 Å, b = 7.0841 Å, c = 10.3702 Å
α = 90.00°, β = 90.00°, γ = 146.77°
Positions (direct):
Ba1 0.2558 0.7442 0.2500
Ba2 0.7442 0.2558 0.7500
Gd1 0.0000 0.0000 0.5000
Gd2 0.0000 0.0000 0.0000
Cu1 0.5338 0.4662 0.2500
Cu2 0.4662 0.5338 0.7500
S1 0.6321 0.3679 0.4341
S2 0.3679 0.6321 0.5659
S3 0.6321 0.3679 0.0659
S4 0.3679 0.6321 0.9341
S5 0.9334 0.0666 0.2500
S6 0.0666 0.9334 0.7500

7.
Material: BaGdCuTe3
Method: DFT, PBE
State: optimized geometry

Output
The theoretical density comes out at 6.4 Mg/m³. As for the calculated volume: 385.7 Å³/cell. For the MP2020-corrected energy, the calculation gives -76.7 eV for the cell shown.

a = 7.7784 Å, b = 7.7784 Å, c = 11.5143 Å
α = 90.00°, β = 90.00°, γ = 146.38°
Positions (direct):
Ba1 0.2503 0.7497 0.2500
Ba2 0.7497 0.2503 0.7500
Gd1 0.0000 0.0000 0.5000
Gd2 0.0000 0.0000 0.0000
Cu1 0.5335 0.4665 0.2500
Cu2 0.4665 0.5335 0.7500
Te1 0.6379 0.3621 0.4375
Te2 0.3621 0.6379 0.5625
Te3 0.6379 0.3621 0.0625
Te4 0.3621 0.6379 0.9375
Te5 0.9295 0.0705 0.2500
Te6 0.0705 0.9295 0.7500

8.
Material: Ba4Cu3Ge20
Method: DFT, PBE
State: optimized geometry

Output
Its total magnetization is 0.01 μB/f.u. The theoretical density comes out at 5.7 Mg/m³. As for the calculated volume: 1266.5 Å³/cell.

a = 10.8194 Å, b = 10.8194 Å, c = 10.8194 Å
α = 90.00°, β = 90.00°, γ = 90.00°
Positions (direct):
Ba1 0.7500 0.5000 0.0000
Ba2 0.5000 0.5000 0.5000
Ba3 0.0000 0.0000 0.0000
Ba4 0.5000 0.0000 0.2500
Ba5 0.0000 0.7500 0.5000
Ba6 0.0000 0.2500 0.5000
Ba7 0.2500 0.5000 0.0000
Ba8 0.5000 0.0000 0.7500
Cu1 0.0000 0.5000 0.2500
Cu2 0.2500 0.0000 0.5000
Cu3 0.5000 0.7500 0.0000
Cu4 0.5000 0.2500 0.0000
Cu5 0.0000 0.5000 0.7500
Cu6 0.7500 0.0000 0.5000
Ge1 0.5000 0.6194 0.1836
Ge2 0.5000 0.3806 0.8164
Ge3 0.0000 0.6836 0.1194
Ge4 0.8169 0.1831 0.8169
Ge5 0.1194 0.0000 0.6836
Ge6 0.3169 0.3169 0.3169
Ge7 0.3806 0.1836 0.5000
Ge8 0.6831 0.3169 0.3169
Ge9 0.0000 0.3164 0.8806
Ge10 0.6194 0.8164 0.5000
Ge11 0.8164 0.5000 0.3806
Ge12 0.1831 0.1831 0.8169
Ge13 0.1831 0.8169 0.1831
Ge14 0.6836 0.1194 0.0000
Ge15 0.1836 0.5000 0.6194
Ge16 0.6836 0.8806 0.0000
Ge17 0.6831 0.6831 0.3169
Ge18 0.8806 0.0000 0.3164
Ge19 0.3169 0.6831 0.3169
Ge20 0.1831 0.1831 0.1831
Ge21 0.3164 0.8806 0.0000
Ge22 0.8806 0.0000 0.6836
Ge23 0.8164 0.5000 0.6194
Ge24 0.3806 0.8164 0.5000
Ge25 0.5000 0.6194 0.8164
Ge26 0.6831 0.3169 0.6831
Ge27 0.8169 0.1831 0.1831
Ge28 0.0000 0.3164 0.1194
Ge29 0.3169 0.6831 0.6831
Ge30 0.1836 0.5000 0.3806
Ge31 0.0000 0.6836 0.8806
Ge32 0.8169 0.8169 0.1831
Ge33 0.1194 0.0000 0.3164
Ge34 0.6194 0.1836 0.5000
Ge35 0.1831 0.8169 0.8169
Ge36 0.5000 0.3806 0.1836
Ge37 0.3169 0.3169 0.6831
Ge38 0.6831 0.6831 0.6831
Ge39 0.8169 0.8169 0.8169
Ge40 0.3164 0.1194 0.0000

no.,formation energy (eV/atom)
1,-3.024
2,-2.153
3,-2.171
4,-2.174
5,-2.175
6,-1.959
7,-1.470
8,-0.275